SnCSNF GGA-PBE optimized geometry; energy of formation = -0.785 eV/atom; DFT total energy = -6.117 eV per atom
1.0
7.813 0.000 0.000
0.000 4.399 0.000
0.000 0.000 12.442
Sn C S N F
4 4 4 4 4
Cartesian
1.094 1.100 1.173
2.812 3.299 7.394
5.000 1.100 5.048
6.719 3.299 11.269
0.540 3.299 4.873
3.367 1.100 11.094
4.446 3.299 1.348
7.273 1.100 7.569
0.629 1.100 8.687
3.277 3.299 2.466
4.535 1.100 9.976
7.183 3.299 3.755
1.426 3.299 5.661
2.480 1.100 11.883
5.333 3.299 0.560
6.386 1.100 6.781
0.612 3.299 0.339
3.294 1.100 6.560
4.518 3.299 5.882
7.201 1.100 12.103